Record 1
Compound: Li4FeP6O18
Source: Materials Project
Functional: PBE with a Hubbard U
Structure: optimized geometry

Results
The relative energy among the computed polymorphs is 44 kJ/mol of formula units.

POSCAR file:
```
Li4FeP6O18
1.0
3.893 6.253 0.000
-3.893 6.253 0.000
0.000 0.881 13.932
O Fe P Li
36 2 12 8
Cartesian
0.637 2.922 13.454
-0.485 6.525 5.165
0.637 10.906 7.444
1.056 3.054 1.985
-0.200 2.253 3.979
-1.598 8.442 4.017
0.485 6.862 8.766
1.056 9.892 4.980
-1.197 4.308 0.425
2.451 6.289 1.859
2.451 6.657 5.107
0.200 11.134 9.953
2.908 6.401 8.350
-2.451 6.730 8.824
-1.598 4.504 2.949
-1.121 4.868 11.183
-2.908 5.960 1.384
1.598 4.945 9.915
-1.056 3.495 8.951
-0.637 10.465 0.478
-1.197 8.639 6.541
-1.121 8.960 9.714
-2.451 7.098 12.073
1.598 8.883 10.983
-0.485 6.421 1.801
1.197 9.079 13.506
1.121 4.427 4.217
1.121 8.519 2.748
-2.908 6.986 5.582
-0.637 2.481 6.488
0.200 2.693 10.944
-0.200 10.694 2.987
2.908 7.427 12.547
1.197 4.749 7.391
-1.056 10.333 11.946
0.485 6.966 12.131
-0.984 6.914 10.449
0.984 6.473 3.483
-0.440 11.457 1.591
-0.440 1.489 5.375
-1.439 5.288 1.544
1.076 9.831 3.494
1.439 5.729 8.509
-1.076 3.556 10.438
-1.076 10.271 10.459
-1.439 7.658 5.422
1.076 3.116 3.472
0.440 1.930 12.340
1.439 8.099 12.388
0.440 11.898 8.557
-0.888 8.422 0.654
-0.888 4.524 6.311
-1.009 2.183 1.076
-1.009 10.763 5.889
0.888 4.965 13.277
1.009 2.624 8.042
0.888 8.863 7.620
1.009 11.204 12.855
```

***

Record 2
Compound: LiFePO4
Source: Materials Project
Functional: PBE with a Hubbard U
Structure: optimized geometry

Results
The relative energy among the computed polymorphs is 375 kJ/mol of formula units.

POSCAR file:
```
LiFePO4
1.0
4.977 8.847 0.000
-4.977 8.847 0.000
0.000 6.407 16.446
O Li P Fe
64 16 16 16
Cartesian
-0.026 11.852 15.592
-0.620 9.986 10.490
-3.525 13.734 10.498
-3.502 13.558 14.200
2.174 10.428 9.012
4.026 15.460 14.626
3.525 10.530 2.275
-4.026 12.256 6.403
-0.267 6.423 11.522
2.492 7.734 0.778
0.378 18.074 7.359
1.022 14.979 2.286
-2.212 13.231 4.890
-0.378 21.278 15.582
-0.009 12.169 0.763
2.738 13.271 4.875
-0.619 17.316 14.188
-2.174 7.224 0.790
-0.301 13.130 10.124
0.243 8.769 4.888
2.209 9.764 14.539
0.009 15.373 8.986
-2.523 16.298 15.582
2.523 13.094 7.359
0.249 17.708 4.882
2.106 16.832 15.579
-1.853 9.704 5.963
0.026 8.648 7.369
-0.243 11.972 13.110
-2.492 10.938 9.001
-1.535 16.695 6.416
-1.037 9.115 14.189
-0.340 6.022 9.035
4.048 11.826 9.995
0.302 12.126 3.250
-2.738 16.475 13.098
-2.748 10.878 11.496
-4.048 8.623 1.772
-0.302 15.330 11.472
2.197 10.875 11.482
-2.197 7.672 3.259
-2.204 14.329 1.905
0.340 2.818 0.812
1.037 5.911 5.966
-0.328 14.138 14.518
-1.559 4.178 1.786
0.301 9.926 1.901
1.849 14.413 10.507
-0.249 20.912 13.105
0.328 10.934 6.295
2.212 16.435 13.113
2.748 7.674 3.274
0.620 6.783 2.268
-1.849 11.209 2.284
-2.106 13.628 7.356
-1.022 18.183 10.509
0.267 3.219 3.299
3.502 10.355 5.977
2.204 17.533 10.128
1.853 12.907 14.186
0.619 14.113 5.965
-2.209 6.560 6.316
1.535 19.899 14.639
1.559 7.381 10.009
2.107 11.128 7.183
-0.342 8.391 3.039
-2.834 12.772 3.076
-1.906 16.560 11.299
2.834 15.975 11.299
-3.171 10.598 7.190
0.688 18.224 15.412
-2.107 14.331 15.406
0.342 11.595 11.262
0.389 9.901 15.404
-0.602 17.729 3.076
1.906 13.357 3.076
3.171 13.802 15.413
-0.389 6.697 7.181
-0.688 15.021 7.189
0.602 20.932 11.299
-3.086 13.470 6.162
-0.612 17.921 6.171
0.315 12.731 14.357
0.612 21.125 14.394
3.086 16.673 14.385
-0.315 9.527 6.134
-3.106 7.410 2.019
-2.159 17.191 14.360
-0.613 2.974 2.030
2.162 6.900 2.046
0.613 6.177 10.253
-2.162 10.104 10.269
3.106 10.614 10.242
2.159 13.987 6.137
0.310 14.548 10.271
-0.310 11.344 2.048
-3.118 10.295 1.023
3.118 13.499 9.245
0.655 9.058 9.240
0.343 15.684 13.378
-0.639 3.178 5.132
2.148 9.752 1.035
2.850 11.312 13.365
-0.344 14.184 1.038
-1.880 10.773 13.343
-2.850 8.108 5.142
0.639 6.381 13.355
-0.655 5.855 1.017
0.344 17.388 9.261
1.880 7.569 5.120
-0.343 12.480 5.155
-2.148 12.956 9.258
```

***

Record 3
Compound: LiFePO4
Source: Materials Project
Functional: PBE with a Hubbard U
Structure: optimized geometry

Results
The relative energy among the computed polymorphs is 19 kJ/mol of formula units.

POSCAR file:
```
LiFePO4
1.0
0.001 4.943 0.000
0.000 0.000 7.464
9.248 0.001 0.000
O Li P Fe
16 4 4 4
Cartesian
0.901 3.517 4.990
5.571 1.694 3.627
3.495 1.363 6.143
5.754 3.835 5.054
8.348 1.047 6.207
3.724 1.425 1.258
1.569 0.703 0.067
1.131 3.580 2.410
8.118 1.110 1.321
0.948 0.778 3.838
5.525 3.897 2.475
6.194 1.770 7.398
8.302 3.252 7.359
3.678 4.164 0.106
3.056 4.239 3.799
7.680 3.175 3.666
4.786 2.878 6.491
4.462 0.406 4.705
9.087 2.067 2.760
0.163 4.537 0.972
6.127 3.137 3.716
3.122 0.664 0.016
1.502 4.278 3.748
7.747 1.809 7.448
3.464 3.318 2.006
8.090 4.097 5.459
5.780 0.850 1.728
1.159 1.627 5.738
```

***

Record 4
Compound: LiFePO4
Source: Materials Project
Functional: PBE with a Hubbard U
Structure: optimized geometry

Results
The relative energy among the computed polymorphs is 36 kJ/mol of formula units.

POSCAR file:
```
LiFePO4
1.0
-0.791 7.308 -3.269
-8.178 -1.969 -2.423
-13.382 3.417 10.875
O Li P Fe
48 12 12 12
Cartesian
-7.048 1.416 -2.541
-3.686 1.291 -1.876
-6.577 8.481 0.790
-4.480 3.723 -0.304
-6.548 6.129 -4.418
-21.552 7.044 5.593
-5.873 1.772 0.525
-5.247 3.648 2.131
-0.799 1.712 -0.411
-14.000 6.496 2.972
-9.779 5.207 -0.750
-7.532 3.803 4.856
-17.105 5.109 3.051
-18.890 6.731 3.928
-10.321 2.480 3.794
-7.005 5.996 0.414
-8.351 2.260 2.210
-11.751 3.627 8.342
-5.160 6.087 -2.272
-15.804 2.628 9.600
-16.478 6.984 4.657
-13.709 7.826 5.797
-10.600 5.130 -3.160
-8.642 0.931 -0.615
-15.346 2.760 4.768
-12.572 3.549 5.932
-11.560 6.840 -1.524
-9.475 2.193 -2.668
-7.302 4.723 -2.437
-10.791 1.917 6.706
-13.543 1.308 3.710
-12.851 4.254 2.623
-15.303 7.341 7.723
-12.030 6.277 1.388
-8.808 7.449 1.473
-14.820 4.954 0.327
-12.876 6.564 7.850
-15.774 0.275 4.392
-17.191 2.670 7.454
-10.682 2.643 1.264
-9.500 4.503 2.559
-17.871 5.034 5.486
-15.049 4.034 7.619
-12.132 4.403 -1.232
-3.461 2.025 1.254
-10.220 4.353 6.414
-18.665 7.465 7.058
-11.669 6.113 3.918
-14.404 3.992 5.852
-9.192 1.782 5.433
-2.834 3.157 -1.384
-12.820 3.643 0.551
-19.843 8.419 4.617
-2.508 0.337 0.566
-14.766 7.659 4.237
-7.585 1.098 0.945
-19.517 5.599 6.566
-13.160 6.975 -0.251
-9.531 5.113 4.631
-7.947 4.764 -0.670
-17.583 5.962 4.274
-11.015 5.392 -1.674
-9.719 2.966 2.441
-6.068 5.256 -3.221
-11.336 3.364 6.856
-12.632 5.791 2.741
-13.825 7.681 7.345
-16.283 3.501 8.403
-4.768 2.795 0.909
-8.526 1.075 -2.163
-7.268 7.212 1.353
-15.084 1.544 3.829
-8.945 3.996 -3.446
-15.661 5.931 1.890
-12.316 2.874 3.997
-16.763 7.928 6.472
-5.588 0.828 -1.290
-13.406 4.761 8.628
-11.837 7.848 4.909
-6.690 2.826 3.292
-5.094 5.660 -0.314
-10.514 0.909 0.274
-17.257 3.097 5.497
-10.036 5.883 1.186
```

***

Record 5
Compound: LiFeP2O7
Source: Materials Project
Functional: PBE with a Hubbard U
Structure: optimized geometry

Results
The relative energy among the computed polymorphs is 30 kJ/mol of formula units.

POSCAR file:
```
LiFeP2O7
1.0
-2.278 -3.536 2.820
7.550 -2.892 2.472
1.983 6.728 10.037
O P Fe Li
28 8 4 4
Cartesian
0.657 2.175 9.708
3.671 -2.627 3.618
0.497 -1.111 3.119
3.999 3.222 9.174
5.843 3.680 10.763
6.536 -3.344 3.638
0.720 3.644 11.691
5.530 -3.185 8.967
1.413 -3.380 4.566
3.364 -1.383 8.081
6.602 -0.807 10.297
1.308 0.874 7.713
6.184 2.236 8.234
2.679 -0.527 5.735
1.725 3.485 6.362
3.256 -2.922 6.154
-1.171 -2.615 4.554
1.071 -1.936 7.095
3.461 -4.915 4.711
6.758 1.411 12.210
3.585 2.927 11.711
0.654 1.107 5.032
3.794 5.215 10.617
4.577 0.827 9.593
5.948 -0.574 7.616
3.891 1.683 7.247
8.427 2.915 10.774
6.598 -1.875 5.621
4.691 1.914 8.511
-0.051 0.035 2.226
4.310 3.793 10.663
7.171 -0.898 6.785
7.307 0.265 13.103
2.565 -1.614 6.818
2.945 -3.493 4.666
0.085 1.198 8.543
0.101 -3.195 3.007
7.154 3.495 12.322
2.332 1.490 6.137
4.923 -1.190 9.192
7.403 1.233 10.014
4.511 0.817 11.703
2.745 -0.517 3.626
-0.148 -0.933 5.315
```

***

Record 6
Compound: LiFeP2O7
Source: Materials Project
Functional: PBE with a Hubbard U
Structure: optimized geometry

Results
The relative energy among the computed polymorphs is 15 kJ/mol of formula units.

POSCAR file:
```
LiFeP2O7
1.0
-7.995 1.671 -1.097
-1.588 -3.690 5.954
0.134 5.772 7.816
O P Fe Li
28 8 4 4
Cartesian
-3.002 0.430 1.826
-0.618 0.897 1.118
-3.542 3.147 10.807
-6.837 3.591 3.076
-3.321 4.362 4.645
-4.174 -2.411 5.483
-6.448 3.324 10.846
-1.805 4.683 7.976
-4.391 -0.414 4.103
-2.612 0.163 9.596
-2.065 -1.372 4.503
-5.058 4.168 8.570
-1.584 3.034 5.920
-2.690 1.967 3.956
-5.907 0.607 1.865
-5.276 6.164 7.190
-3.812 1.893 8.162
-5.638 1.860 4.510
-6.957 3.726 5.620
-2.493 0.028 7.053
-7.385 5.125 8.169
-6.760 1.786 8.717
-1.279 1.836 8.429
-7.865 0.720 6.753
-8.832 2.857 11.555
-7.644 -0.929 4.697
-8.171 1.918 4.244
-6.128 -0.608 8.027
-2.224 3.296 4.565
-1.985 0.346 0.699
-3.538 -1.690 4.182
-6.895 2.749 4.456
-2.554 1.005 8.216
-7.226 0.458 8.108
-5.912 5.443 8.490
-7.465 3.408 11.974
-4.373 1.294 2.972
-9.119 0.405 5.247
-5.076 2.460 9.701
-0.331 3.349 7.425
-1.401 0.416 3.788
-8.049 3.338 8.885
-3.509 3.757 7.397
-5.940 -0.003 5.275
```

***

Number 1: calculated density 2.73 g/cm³, size of the total moment 8.0 μB per cell, formation enthalpy at 0 K -2.56 eV per atom. Number 2: calculated density 2.89 g/cm³, size of the total moment 2.7 μB per cell, formation enthalpy at 0 K -1.92 eV per atom. Number 3: calculated density 3.07 g/cm³, size of the total moment 0.0 μB per cell, formation enthalpy at 0 K -2.45 eV per atom. Number 4: calculated density 2.92 g/cm³, size of the total moment 48.0 μB per cell, formation enthalpy at 0 K -2.43 eV per atom. Number 5: calculated density 3.06 g/cm³, size of the total moment 20.0 μB per cell, formation enthalpy at 0 K -2.50 eV per atom. Number 6: calculated density 2.93 g/cm³, size of the total moment 20.0 μB per cell, formation enthalpy at 0 K -2.51 eV per atom.